Entry 1:
Below is a relaxed structure of Na3TiGaSiP2O12, with properties calculated at the PBE-GGA level.

Unit cell a=8.818 b=8.818 c=22.115 alpha=89.99 beta=90.01 gamma=120.00
Sites, in units of the cell vectors:
Na (0.001, 0.998, 0.498)
Na (0.002, 0.999, 0.998)
Na (0.667, 0.330, 0.832)
Na (0.670, 0.333, 0.332)
Na (0.343, 0.673, 0.165)
Na (0.327, 0.657, 0.665)
Na (0.365, 0.365, 0.249)
Na (0.995, 0.630, 0.248)
Na (0.635, 0.635, 0.749)
Na (0.370, 0.005, 0.748)
Na (0.036, 0.700, 0.582)
Na (0.661, 0.965, 0.584)
Na (0.300, 0.964, 0.082)
Na (0.035, 0.339, 0.084)
Na (0.970, 0.670, 0.917)
Na (0.701, 0.032, 0.915)
Na (0.968, 0.299, 0.415)
Na (0.330, 0.030, 0.417)
Ti (0.007, 0.008, 0.648)
Ti (0.992, 0.993, 0.148)
Ti (0.662, 0.336, 0.981)
Ti (0.664, 0.338, 0.481)
Ti (0.325, 0.662, 0.315)
Ti (0.338, 0.675, 0.815)
Ga (0.991, 0.993, 0.351)
Ga (0.007, 0.009, 0.851)
Ga (0.670, 0.326, 0.684)
Ga (0.674, 0.330, 0.184)
Ga (0.331, 0.668, 0.017)
Ga (0.332, 0.669, 0.517)
Si (0.992, 0.283, 0.251)
Si (0.717, 0.008, 0.751)
Si (0.375, 0.043, 0.584)
Si (0.957, 0.625, 0.084)
Si (0.330, 0.962, 0.917)
Si (0.038, 0.670, 0.417)
P (0.294, 0.003, 0.250)
P (0.708, 0.711, 0.251)
P (0.289, 0.292, 0.751)
P (0.997, 0.706, 0.750)
P (0.959, 0.336, 0.583)
P (0.661, 0.619, 0.585)
P (0.664, 0.041, 0.083)
P (0.381, 0.339, 0.085)
P (0.619, 0.665, 0.917)
P (0.048, 0.376, 0.917)
P (0.624, 0.952, 0.417)
P (0.335, 0.381, 0.417)
O (0.213, 0.037, 0.307)
O (0.829, 0.789, 0.305)
O (0.971, 0.172, 0.312)
O (0.211, 0.171, 0.805)
O (0.963, 0.787, 0.807)
O (0.828, 0.029, 0.812)
O (0.802, 0.965, 0.691)
O (0.171, 0.200, 0.694)
O (0.035, 0.828, 0.694)
O (0.800, 0.829, 0.194)
O (0.035, 0.198, 0.191)
O (0.172, 0.965, 0.194)
O (0.878, 0.374, 0.638)
O (0.498, 0.127, 0.643)
O (0.637, 0.511, 0.642)
O (0.873, 0.502, 0.143)
O (0.626, 0.122, 0.138)
O (0.489, 0.363, 0.142)
O (0.467, 0.301, 0.029)
O (0.833, 0.530, 0.024)
O (0.701, 0.161, 0.026)
O (0.470, 0.167, 0.524)
O (0.699, 0.533, 0.529)
O (0.839, 0.299, 0.526)
O (0.536, 0.700, 0.972)
O (0.155, 0.455, 0.975)
O (0.294, 0.837, 0.976)
O (0.545, 0.845, 0.475)
O (0.300, 0.464, 0.472)
O (0.163, 0.706, 0.476)
O (0.134, 0.632, 0.358)
O (0.501, 0.865, 0.362)
O (0.365, 0.493, 0.359)
O (0.135, 0.499, 0.862)
O (0.368, 0.866, 0.858)
O (0.507, 0.635, 0.859)
O (0.029, 0.848, 0.408)
O (0.811, 0.982, 0.411)
O (0.172, 0.196, 0.411)
O (0.018, 0.189, 0.911)
O (0.152, 0.971, 0.908)
O (0.804, 0.828, 0.911)
O (0.968, 0.164, 0.590)
O (0.177, 0.017, 0.590)
O (0.831, 0.804, 0.589)
O (0.983, 0.823, 0.090)
O (0.836, 0.032, 0.090)
O (0.196, 0.169, 0.089)
O (0.683, 0.172, 0.745)
O (0.474, 0.315, 0.743)
O (0.830, 0.527, 0.742)
O (0.685, 0.526, 0.243)
O (0.828, 0.317, 0.245)
O (0.473, 0.170, 0.242)
O (0.643, 0.501, 0.923)
O (0.862, 0.361, 0.922)
O (0.513, 0.150, 0.924)
O (0.639, 0.138, 0.422)
O (0.499, 0.357, 0.423)
O (0.850, 0.487, 0.424)
O (0.355, 0.497, 0.076)
O (0.151, 0.644, 0.077)
O (0.502, 0.859, 0.076)
O (0.356, 0.849, 0.577)
O (0.503, 0.645, 0.576)
O (0.141, 0.498, 0.576)
O (0.307, 0.834, 0.256)
O (0.525, 0.692, 0.256)
O (0.175, 0.482, 0.257)
O (0.308, 0.475, 0.756)
O (0.166, 0.693, 0.756)
O (0.518, 0.825, 0.757)

Calculated values
**Spin magnetization**: 0.00 Bohr magnetons per cell
**Energy of formation from the pure elements**: -2781 meV per atom
**Raw total energy**: -6.894 eV/atom

Entry 2:
Below is a relaxed structure of Al3P2H14O15F3, with properties calculated at the PBE-GGA level.

Unit cell a=7.140 b=9.372 c=10.166 alpha=95.73 beta=97.63 gamma=100.07
Sites, in units of the cell vectors:
Al (0.383, 0.318, 0.152)
Al (0.617, 0.682, 0.848)
Al (0.824, 0.554, 0.293)
Al (0.176, 0.446, 0.707)
Al (0.293, 0.771, 0.376)
Al (0.707, 0.229, 0.624)
P (0.471, 0.666, 0.129)
P (0.529, 0.334, 0.871)
P (0.194, 0.430, 0.398)
P (0.806, 0.570, 0.602)
H (0.139, 0.253, 0.935)
H (0.861, 0.747, 0.065)
H (0.008, 0.184, 0.041)
H (0.992, 0.816, 0.959)
H (0.343, 0.041, 0.092)
H (0.657, 0.959, 0.908)
H (0.342, 0.065, 0.248)
H (0.658, 0.935, 0.752)
H (0.806, 0.488, 0.031)
H (0.194, 0.512, 0.969)
H (0.969, 0.415, 0.109)
H (0.031, 0.585, 0.891)
H (0.615, 0.910, 0.522)
H (0.385, 0.090, 0.478)
H (0.634, 0.750, 0.457)
H (0.366, 0.250, 0.543)
H (0.198, 0.899, 0.597)
H (0.802, 0.101, 0.403)
H (0.162, 0.725, 0.594)
H (0.838, 0.275, 0.406)
H (0.694, 0.161, 0.054)
H (0.306, 0.839, 0.946)
H (0.799, 0.056, 0.141)
H (0.201, 0.944, 0.859)
H (0.795, 0.876, 0.281)
H (0.205, 0.124, 0.719)
H (0.004, 0.970, 0.312)
H (0.996, 0.030, 0.688)
O (0.360, 0.504, 0.102)
O (0.640, 0.496, 0.898)
O (0.511, 0.273, 0.006)
O (0.489, 0.727, 0.994)
O (0.252, 0.320, 0.296)
O (0.748, 0.680, 0.704)
O (0.130, 0.252, 0.031)
O (0.870, 0.748, 0.969)
O (0.390, 0.112, 0.173)
O (0.610, 0.888, 0.827)
O (0.678, 0.674, 0.205)
O (0.322, 0.326, 0.795)
O (0.974, 0.426, 0.360)
O (0.026, 0.574, 0.640)
O (0.771, 0.625, 0.462)
O (0.229, 0.375, 0.538)
O (0.892, 0.491, 0.118)
O (0.108, 0.509, 0.882)
O (0.357, 0.760, 0.204)
O (0.643, 0.240, 0.796)
O (0.310, 0.584, 0.403)
O (0.690, 0.416, 0.597)
O (0.561, 0.832, 0.447)
O (0.439, 0.168, 0.553)
O (0.229, 0.808, 0.554)
O (0.771, 0.192, 0.446)
O (0.788, 0.094, 0.053)
O (0.212, 0.906, 0.947)
O (0.868, 0.977, 0.288)
O (0.132, 0.023, 0.712)
F (0.615, 0.396, 0.260)
F (0.385, 0.604, 0.740)
F (0.032, 0.709, 0.307)
F (0.968, 0.291, 0.693)
F (0.261, 0.961, 0.362)
F (0.739, 0.039, 0.638)

Calculated values
**Spin magnetization**: 0.00 Bohr magnetons per cell
**Excess energy over the best structure of this formula in the dataset**: 0 meV/atom
**Energy of formation from the pure elements**: -2142 meV per atom
**Raw total energy**: -5.867 eV/atom

Entry 3:
Below is a relaxed structure of PrBeO3, with properties calculated at the PBE-GGA level.

Unit cell a=3.680 b=3.680 c=3.680 alpha=90.00 beta=90.00 gamma=90.00
Sites, in units of the cell vectors:
Pr (0.000, 0.000, 0.000)
Be (0.500, 0.500, 0.500)
O (0.500, 0.500, 0.000)
O (0.500, 0.000, 0.500)
O (0.000, 0.500, 0.500)

Calculated values
**Spin magnetization**: 1.00 Bohr magnetons per cell
**Energy of formation from the pure elements**: -2856 meV per atom
**Raw total energy**: -7.117 eV/atom

Entry 4:
Below is a relaxed structure of SrMg6Fe, with properties calculated at the PBE-GGA level.

Unit cell a=6.735 b=6.735 c=5.127 alpha=90.00 beta=90.00 gamma=123.56
Sites, in units of the cell vectors:
Sr (0.324, 0.676, 0.500)
Mg (0.316, 0.171, 0.500)
Mg (0.829, 0.684, 0.500)
Mg (0.149, 0.313, 0.000)
Mg (0.687, 0.851, 0.000)
Mg (0.680, 0.320, 0.000)
Mg (0.151, 0.849, 0.000)
Fe (0.863, 0.137, 0.500)

Calculated values
**Spin magnetization**: 3.13 Bohr magnetons per cell
**Excess energy over the best structure of this formula in the dataset**: 10 meV/atom
**Energy of formation from the pure elements**: 242 meV per atom
**Raw total energy**: -2.228 eV/atom

> Which of these has the lowest energy of formation from the pure elements?

PrBeO3

> Which of these has the lowest raw total energy?

PrBeO3

> spin magnetization of number 3 (PrBeO3)?

1.00 Bohr magnetons per cell

> Among the records above, which one has the highest raw total energy?

SrMg6Fe